The following is a PBE+U calculation of a geometry-optimized LiVO2 structure, from the Materials Project.

abc: 2.971 5.229 5.184
angles: 69.95 90.00 90.00
Positions (direct):
O 0.000 0.730 0.759
O 0.500 0.730 0.259
O 0.500 0.270 0.741
O 0.000 0.270 0.241
Li 0.500 0.000 0.500
Li 0.000 0.000 0.000
V 0.500 0.500 0.000
V 0.000 0.500 0.500

Energy   -55.6 eV/cell
Energy of formation   -2.49 eV/atom
Calculated volume   75.66 Å³/cell